LiZr2As3O12: relaxed, PBE-GGA.

Results
Symmetry ... P2_1/c
Crystal system ... monoclinic
M_tot ... 0.0 μB/f.u.
Energy relative to the elements ... -2.508 eV per atom
ΔE to the lowest computed polymorph ... 0.00 eV per formula unit

Cell and atoms, written as POSCAR:
```
LiZr2As3O12
1.0
9.3400 0.0000 0.0000
0.0000 9.3094 0.0000
0.0000 9.1658 13.0106
Li Zr As O
4 8 12 48
Direct
0.7167 0.9746 0.8266
0.7833 0.9746 0.3266
0.2833 0.0254 0.1734
0.2167 0.0254 0.6734
0.9612 0.1427 0.1122
0.5388 0.1427 0.6122
0.0388 0.8573 0.8878
0.4612 0.8573 0.3878
0.5225 0.3701 0.8795
0.9775 0.3701 0.3795
0.4775 0.6299 0.1205
0.0225 0.6299 0.6205
0.6033 0.9668 0.1445
0.8967 0.9668 0.6445
0.3967 0.0332 0.8555
0.1033 0.0332 0.3555
0.8775 0.2453 0.8545
0.6225 0.2453 0.3545
0.1225 0.7547 0.1455
0.3775 0.7547 0.6455
0.7522 0.5403 0.9908
0.7478 0.5403 0.4908
0.2478 0.4597 0.0092
0.2522 0.4597 0.5092
0.9198 0.1704 0.9782
0.5802 0.1704 0.4782
0.0802 0.8296 0.0218
0.4198 0.8296 0.5218
0.7649 0.0055 0.1805
0.7351 0.0055 0.6805
0.2351 0.9945 0.8195
0.2649 0.9945 0.3195
0.8793 0.3836 0.0613
0.6207 0.3836 0.5613
0.1207 0.6164 0.9387
0.3793 0.6164 0.4387
0.0972 0.9220 0.1605
0.4028 0.9220 0.6605
0.9028 0.0780 0.8395
0.5972 0.0780 0.3395
0.9763 0.0703 0.2664
0.5237 0.0703 0.7664
0.0237 0.9297 0.7336
0.4763 0.9297 0.2336
0.1719 0.2530 0.0810
0.3281 0.2530 0.5810
0.8281 0.7470 0.9190
0.6719 0.7470 0.4190
0.5415 0.1488 0.0332
0.9585 0.1488 0.5332
0.4585 0.8512 0.9668
0.0415 0.8512 0.4668
0.6983 0.2866 0.8352
0.8017 0.2866 0.3352
0.3017 0.7134 0.1648
0.1983 0.7134 0.6648
0.6716 0.5072 0.9076
0.8284 0.5072 0.4076
0.3284 0.4928 0.0924
0.1716 0.4928 0.5924
0.3836 0.2111 0.8595
0.1164 0.2111 0.3595
0.6164 0.7889 0.1405
0.8836 0.7889 0.6405
0.4851 0.5823 0.7265
0.0149 0.5823 0.2265
0.5149 0.4177 0.2735
0.9851 0.4177 0.7735
0.3616 0.4663 0.9240
0.1384 0.4663 0.4240
0.6384 0.5337 0.0760
0.8616 0.5337 0.5760
```



LiZr2As3O12: relaxed, PBE-GGA.

Results
Symmetry ... R-3c
Crystal system ... trigonal
M_tot ... 0.0 μB/f.u.
Energy relative to the elements ... -2.494 eV per atom
ΔE to the lowest computed polymorph ... 0.25 eV per formula unit

Cell and atoms, written as POSCAR:
```
LiZr2As3O12
1.0
-3.7741 8.2988 -2.0045
-6.2269 3.8212 5.8100
2.2435 7.4745 4.9870
Li Zr As O
2 4 6 24
Direct
0.5000 0.5000 0.5000
0.0000 0.0000 0.0000
0.6404 0.6404 0.0788
0.1404 0.1404 0.5788
0.3596 0.3596 0.9212
0.8596 0.8596 0.4212
0.4567 0.0433 0.7500
0.0433 0.7500 0.7500
0.7500 0.4567 0.7500
0.9567 0.2500 0.2500
0.2500 0.5433 0.2500
0.5433 0.9567 0.2500
0.5028 0.8772 0.9348
0.8772 0.6851 0.9348
0.6851 0.5028 0.9348
0.0028 0.1851 0.4348
0.1851 0.3772 0.4348
0.3772 0.0028 0.4348
0.4972 0.1228 0.0652
0.1228 0.3149 0.0652
0.3149 0.4972 0.0652
0.9972 0.8149 0.5652
0.8149 0.6228 0.5652
0.6228 0.9972 0.5652
0.5543 0.7596 0.2682
0.7596 0.4179 0.2682
0.4179 0.5543 0.2682
0.0543 0.9179 0.7682
0.9179 0.2596 0.7682
0.2596 0.0543 0.7682
0.4457 0.2404 0.7318
0.2404 0.5821 0.7318
0.5821 0.4457 0.7318
0.9457 0.0821 0.2318
0.0821 0.7404 0.2318
0.7404 0.9457 0.2318
```



Li5SiAs3: relaxed, PBE-GGA.

Results
Symmetry ... C2/c
Crystal system ... monoclinic
M_tot ... 0.0 μB/f.u.
Energy relative to the elements ... -0.520 eV per atom

Cell and atoms, written as POSCAR:
```
Li5SiAs3
1.0
1.4955 -5.9049 -4.0730
5.5591 -4.7693 0.2072
-2.7427 -6.7901 4.4053
Li Si As
10 2 6
Direct
0.7511 0.2489 0.2500
0.0893 0.5855 0.0718
0.4208 0.9123 0.9119
0.9107 0.4145 0.9282
0.0877 0.5792 0.5881
0.2489 0.7511 0.7500
0.5855 0.0893 0.5718
0.4145 0.9107 0.4282
0.9123 0.4208 0.4119
0.5792 0.0877 0.0881
0.2625 0.7375 0.2500
0.7375 0.2625 0.7500
0.0000 0.0000 0.0000
0.6857 0.6285 0.6761
0.0000 0.0000 0.5000
0.3143 0.3715 0.3239
0.6285 0.6857 0.1761
0.3715 0.3143 0.8239
```



Li31Zr2As13: relaxed, PBE-GGA.

Results
Symmetry ... Cm
Crystal system ... monoclinic
M_tot ... 0.0 μB/f.u.
Energy relative to the elements ... -0.616 eV per atom

Cell and atoms, written as POSCAR:
```
Li31Zr2As13
1.0
4.3235 -0.0021 0.0020
2.1599 3.7453 0.0020
28.1164 16.2330 46.7213
Li Zr As
31 2 13
Direct
0.2643 0.2643 0.1698
0.7443 0.7443 0.0590
0.7399 0.7399 0.1369
0.4881 0.4881 0.1950
0.2511 0.2511 0.2498
0.2533 0.2533 0.3262
0.7469 0.7469 0.2123
0.4931 0.4931 0.2709
0.4883 0.4883 0.3489
0.7498 0.7498 0.2885
0.2406 0.2406 0.4060
0.2488 0.2488 0.4810
0.7351 0.7351 0.3687
0.7584 0.7584 0.4404
0.2465 0.2465 0.5584
0.7529 0.7529 0.5186
0.2420 0.2420 0.6364
0.2654 0.2654 0.7081
0.7505 0.7505 0.5960
0.7598 0.7598 0.6708
0.5125 0.5125 0.7279
0.2511 0.2511 0.7882
0.2522 0.2522 0.8649
0.7470 0.7470 0.7507
0.5085 0.5085 0.8057
0.7494 0.7494 0.8271
0.5114 0.5114 0.8820
0.2594 0.2594 0.9401
0.7554 0.7554 0.9026
0.5228 0.5228 0.9563
0.7478 0.7478 0.9813
0.2378 0.2378 0.0221
0.2402 0.2402 0.0985
0.0042 0.0042 0.9990
0.9909 0.9909 0.0790
0.9943 0.9943 0.1552
0.0094 0.0094 0.2286
0.0094 0.0094 0.3056
0.0137 0.0137 0.3814
0.9963 0.9963 0.4623
0.9998 0.9998 0.5385
0.0035 0.0035 0.6146
0.9861 0.9861 0.6956
0.9902 0.9902 0.7716
0.9949 0.9949 0.9242
0.9924 0.9924 0.8479
```



Lu2Ni12As7: relaxed, PBE-GGA.

Results
Symmetry ... P-6
Crystal system ... hexagonal
Energy relative to the elements ... -0.516 eV per atom

Cell and atoms, written as POSCAR:
```
Lu2Ni12As7
1.0
4.6820 -8.1094 0.0000
4.6820 8.1094 0.0000
0.0000 0.0000 3.7773
Lu Ni As
2 12 7
Direct
0.6667 0.3333 0.0000
0.0000 0.0000 0.5000
0.4865 0.9468 0.0000
0.0532 0.5397 0.0000
0.4603 0.5135 0.0000
0.7123 0.0950 0.5000
0.9050 0.6173 0.5000
0.3827 0.2877 0.5000
0.7731 0.7248 0.0000
0.2752 0.0483 0.0000
0.9517 0.2269 0.0000
0.5471 0.7625 0.5000
0.2375 0.7846 0.5000
0.2154 0.4529 0.5000
0.3333 0.6667 0.0000
0.4470 0.0770 0.5000
0.9230 0.3700 0.5000
0.6300 0.5530 0.5000
0.7393 0.9524 0.0000
0.0476 0.7869 0.0000
0.2131 0.2607 0.0000
```



Lu10Ni28As19: relaxed, PBE-GGA.

Results
Symmetry ... P-6
Crystal system ... hexagonal
M_tot ... 0.3 μB/f.u.
Energy relative to the elements ... -0.699 eV per atom

Cell and atoms, written as POSCAR:
```
Lu10Ni28As19
1.0
8.0073 -13.8691 0.0000
8.0073 13.8691 0.0000
0.0000 0.0000 3.8431
Lu Ni As
10 28 19
Direct
0.0342 0.3025 0.5000
0.6975 0.7317 0.5000
0.2683 0.9658 0.5000
0.5311 0.3433 0.0000
0.6567 0.1878 0.0000
0.8122 0.4689 0.0000
0.3333 0.6667 0.0000
0.1527 0.1315 0.5000
0.8685 0.0212 0.5000
0.9788 0.8473 0.5000
0.4281 0.1064 0.0000
0.8936 0.3217 0.0000
0.6783 0.5719 0.0000
0.1599 0.5354 0.5000
0.4646 0.6245 0.5000
0.3755 0.8401 0.5000
0.3133 0.2770 0.0000
0.7230 0.0362 0.0000
0.9638 0.6867 0.0000
0.3742 0.1967 0.5000
0.8033 0.1775 0.5000
0.8225 0.6258 0.5000
0.0146 0.1491 0.0000
0.8509 0.8655 0.0000
0.1345 0.9854 0.0000
0.2006 0.4412 0.0000
0.5588 0.7593 0.0000
0.2407 0.7994 0.0000
0.4912 0.0332 0.5000
0.9668 0.4580 0.5000
0.5420 0.5088 0.5000
0.2551 0.3548 0.5000
0.6452 0.9003 0.5000
0.0997 0.7449 0.5000
0.6667 0.3333 0.5000
0.3880 0.4688 0.0000
0.5312 0.9192 0.0000
0.0808 0.6120 0.0000
0.0000 0.0000 0.0000
0.4036 0.3586 0.5000
0.6414 0.0451 0.5000
0.9549 0.5964 0.5000
0.5198 0.1948 0.5000
0.8052 0.3250 0.5000
0.6750 0.4802 0.5000
0.2992 0.5161 0.5000
0.4839 0.7831 0.5000
0.2169 0.7008 0.5000
0.0562 0.4514 0.0000
0.5486 0.6048 0.0000
0.3952 0.9438 0.0000
0.1638 0.2763 0.0000
0.7237 0.8875 0.0000
0.1125 0.8362 0.0000
0.2836 0.1152 0.0000
0.8848 0.1684 0.0000
0.8316 0.7164 0.0000
```